(1)
DFT (GGA-PBE) results for a relaxed RuXeF7 crystal.

The calculated density comes out at 3.42 g/cm³. The total DFT energy (no corrections) comes out at -3.8004 eV/atom. The corrected total energy (MP2020 scheme) is -149.75 eV for the cell shown.

The structure belongs to space group P2_1/c (No. 14); the cell edges are 7.399, 11.597 and 11.065 Å and the angles 90.00°, 131.58° and 90.00°. The asymmetric unit holds Ru at (0.033, 0.036, 0.253), Xe at (0.411, 0.716, 0.244), F at (0.024, 0.652, 0.390), F at (0.079, 0.575, 0.895), F at (0.137, 0.072, 0.917), F at (0.175, 0.149, 0.416), F at (0.291, 0.576, 0.315), F at (0.325, 0.503, 0.809) and F at (0.459, 0.163, 0.810).


(2)
DFT (GGA-PBE) results for a relaxed GeC4Br2F10 crystal.

The calculated density comes out at 2.49 g/cm³. The total DFT energy (no corrections) comes out at -5.0465 eV/atom. The corrected total energy (MP2020 scheme) is -361.64 eV for the cell shown. The total magnetization comes out at 0.0 μB per formula unit.

The structure belongs to space group P4_32_12 (No. 96); the cell edges are 9.002, 9.002 and 15.466 Å and the angles 90.00°, 90.00° and 90.00°. The asymmetric unit holds Ge at (0.110, 0.110, 0.000), C at (0.038, 0.909, 0.398), C at (0.097, 0.794, 0.079), Br at (0.087, 0.340, 0.063), F at (0.010, 0.796, 0.341), F at (0.011, 0.041, 0.358), F at (0.013, 0.240, 0.523), F at (0.079, 0.709, 0.151) and F at (0.229, 0.759, 0.042).


(3)
DFT (GGA-PBE) results for a relaxed Ho3Si13Ir4 crystal.

The calculated density comes out at 8.07 g/cm³. The total DFT energy (no corrections) comes out at -6.5834 eV/atom. The total magnetization comes out at 0.0 μB per formula unit.

The structure belongs to space group Pm-3n (No. 223); the cell edges are 8.750, 8.750 and 8.750 Å and the angles 90.00°, 90.00° and 90.00°. The asymmetric unit holds Ho at (0.000, 0.250, 0.500), Si at (0.000, 0.000, 0.000), Si at (0.000, 0.294, 0.138) and Ir at (0.250, 0.250, 0.250).


(4)
DFT (GGA-PBE) results for a relaxed GdHSe2O8 crystal.

The calculated density comes out at 4.45 g/cm³. The total DFT energy (no corrections) comes out at -6.6485 eV/atom. The corrected total energy (MP2020 scheme) is -682.23 eV for the cell shown.

The structure belongs to space group Pbca (No. 61); the cell edges are 9.404, 13.760 and 10.237 Å and the angles 90.00°, 90.00° and 90.00°. The asymmetric unit holds Gd at (0.220, 0.106, 0.051), H at (0.161, 0.186, 0.745), Se at (0.010, 0.562, 0.787), Se at (0.186, 0.650, 0.401), O at (0.010, 0.657, 0.413), O at (0.080, 0.529, 0.149), O at (0.088, 0.633, 0.894), O at (0.109, 0.138, 0.802), O at (0.112, 0.529, 0.664), O at (0.237, 0.223, 0.511), O at (0.239, 0.536, 0.421) and O at (0.242, 0.686, 0.253).


(5)
DFT (GGA-PBE) results for a relaxed Zn5C2O12 crystal.

The calculated density comes out at 3.89 g/cm³. The total DFT energy (no corrections) comes out at -5.2733 eV/atom. The corrected total energy (MP2020 scheme) is -216.87 eV for the cell shown. The total magnetization comes out at 6.0 μB per formula unit.

The structure belongs to space group C2/m (No. 12); the cell edges are 13.802, 6.286 and 5.381 Å and the angles 90.00°, 96.31° and 90.00°. The asymmetric unit holds Zn at (0.000, 0.000, 0.000), Zn at (0.000, 0.270, 0.500), Zn at (0.125, 0.500, 0.045), C at (0.182, 0.000, 0.695), O at (0.068, 0.247, 0.192), O at (0.084, 0.500, 0.684), O at (0.085, 0.000, 0.684), O at (0.221, 0.000, 0.494) and O at (0.231, 0.000, 0.912).


(6)
DFT (GGA-PBE) results for a relaxed Fe2TeSe crystal.

The calculated density comes out at 6.31 g/cm³. The total DFT energy (no corrections) comes out at -6.0182 eV/atom. The corrected total energy (MP2020 scheme) is -24.54 eV for the cell shown. The total magnetization comes out at 0.1 μB per formula unit.

The structure belongs to space group P4mm (No. 99); the cell edges are 3.755, 3.755 and 5.938 Å and the angles 90.00°, 90.00° and 90.00°. The asymmetric unit holds Fe at (0.000, 0.500, 0.000), Te at (0.000, 0.000, 0.726) and Se at (0.500, 0.500, 0.225).